{
  "formula": "KCdB3H12",
  "functional": "PBE",
  "state": "optimized geometry",
  "cell": [[-9.067, -9.067, 9.067], [-9.067, 9.067, -9.067], [9.067, -9.067, -9.067]],
  "species": ["K", "K", "K", "K", "K", "K", "K", "K", "K", "K", "K", "K", "K", "K", "K", "K", "H", "H", "H", "H", "H", "H", "H", "H", "H", "H", "H", "H", "H", "H", "H", "H", "H", "H", "H", "H", "H", "H", "H", "H", "H", "H", "H", "H", "H", "H", "H", "H", "H", "H", "H", "H", "H", "H", "H", "H", "H", "H", "H", "H", "H", "H", "H", "H", "H", "H", "H", "H", "H", "H", "H", "H", "H", "H", "H", "H", "H", "H", "H", "H", "H", "H", "H", "H", "H", "H", "H", "H", "H", "H", "H", "H", "H", "H", "H", "H", "H", "H", "H", "H", "H", "H", "H", "H", "H", "H", "H", "H", "H", "H", "H", "H", "H", "H", "H", "H", "H", "H", "H", "H", "H", "H", "H", "H", "H", "H", "H", "H", "H", "H", "H", "H", "H", "H", "H", "H", "H", "H", "H", "H", "H", "H", "H", "H", "H", "H", "H", "H", "H", "H", "H", "H", "H", "H", "H", "H", "H", "H", "H", "H", "H", "H", "H", "H", "H", "H", "H", "H", "H", "H", "H", "H", "H", "H", "H", "H", "H", "H", "H", "H", "H", "H", "H", "H", "H", "H", "H", "H", "H", "H", "H", "H", "H", "H", "H", "H", "H", "H", "H", "H", "H", "H", "H", "H", "H", "H", "H", "H", "B", "B", "B", "B", "B", "B", "B", "B", "B", "B", "B", "B", "B", "B", "B", "B", "B", "B", "B", "B", "B", "B", "B", "B", "B", "B", "B", "B", "B", "B", "B", "B", "B", "B", "B", "B", "B", "B", "B", "B", "B", "B", "B", "B", "B", "B", "B", "B", "Cd", "Cd", "Cd", "Cd", "Cd", "Cd", "Cd", "Cd", "Cd", "Cd", "Cd", "Cd", "Cd", "Cd", "Cd", "Cd"],
  "fractional_positions": [[0.379, 0.129, 0.750], [0.250, 0.121, 0.371], [0.500, 0.000, 0.500], [0.000, 0.000, 0.000], [0.629, 0.750, 0.879], [0.750, 0.379, 0.129], [0.871, 0.250, 0.621], [0.750, 0.879, 0.629], [0.000, 0.500, 0.500], [0.129, 0.750, 0.379], [0.879, 0.629, 0.750], [0.250, 0.621, 0.871], [0.371, 0.250, 0.121], [0.621, 0.871, 0.250], [0.121, 0.371, 0.250], [0.500, 0.500, 0.000], [0.097, 0.721, 0.811], [0.207, 0.110, 0.561], [0.645, 0.596, 0.707], [0.090, 0.214, 0.311], [0.016, 0.389, 0.589], [0.480, 0.662, 0.676], [0.889, 0.373, 0.300], [0.311, 0.090, 0.214], [0.124, 0.403, 0.714], [0.890, 0.243, 0.005], [0.837, 0.033, 0.868], [0.262, 0.257, 0.647], [0.066, 0.258, 0.982], [0.662, 0.676, 0.480], [0.167, 0.582, 0.110], [0.531, 0.368, 0.836], [0.200, 0.073, 0.089], [0.147, 0.390, 0.885], [0.663, 0.031, 0.696], [0.389, 0.589, 0.016], [0.692, 0.434, 0.916], [0.221, 0.624, 0.410], [0.243, 0.005, 0.890], [0.324, 0.520, 0.338], [0.573, 0.873, 0.484], [0.721, 0.811, 0.097], [0.911, 0.800, 0.927], [0.982, 0.066, 0.258], [0.939, 0.549, 0.145], [0.162, 0.182, 0.485], [0.624, 0.410, 0.221], [0.811, 0.097, 0.721], [0.304, 0.824, 0.985], [0.472, 0.557, 0.390], [0.085, 0.667, 0.057], [0.927, 0.911, 0.800], [0.031, 0.696, 0.663], [0.353, 0.738, 0.743], [0.808, 0.225, 0.242], [0.762, 0.615, 0.505], [0.885, 0.147, 0.390], [0.533, 0.196, 0.664], [0.597, 0.286, 0.876], [0.196, 0.682, 0.020], [0.714, 0.124, 0.403], [0.073, 0.089, 0.200], [0.096, 0.951, 0.390], [0.304, 0.337, 0.969], [0.725, 0.416, 0.482], [0.627, 0.700, 0.111], [0.337, 0.969, 0.304], [0.890, 0.439, 0.793], [0.005, 0.890, 0.243], [0.110, 0.561, 0.207], [0.890, 0.833, 0.418], [0.300, 0.889, 0.373], [0.647, 0.262, 0.257], [0.275, 0.584, 0.518], [0.696, 0.176, 0.015], [0.804, 0.336, 0.467], [0.164, 0.469, 0.632], [0.876, 0.597, 0.286], [0.836, 0.531, 0.368], [0.338, 0.324, 0.520], [0.403, 0.714, 0.124], [0.411, 0.984, 0.611], [0.632, 0.164, 0.469], [0.566, 0.084, 0.308], [0.385, 0.495, 0.238], [0.110, 0.757, 0.995], [0.434, 0.916, 0.692], [0.615, 0.505, 0.762], [0.918, 0.585, 0.028], [0.696, 0.663, 0.031], [0.318, 0.980, 0.804], [0.469, 0.632, 0.164], [0.404, 0.293, 0.355], [0.515, 0.838, 0.818], [0.995, 0.110, 0.757], [0.916, 0.692, 0.434], [0.110, 0.167, 0.582], [0.804, 0.318, 0.980], [0.182, 0.485, 0.162], [0.610, 0.115, 0.853], [0.800, 0.927, 0.911], [0.934, 0.742, 0.018], [0.467, 0.804, 0.336], [0.279, 0.189, 0.903], [0.910, 0.786, 0.689], [0.611, 0.411, 0.984], [0.518, 0.275, 0.584], [0.855, 0.061, 0.451], [0.451, 0.855, 0.061], [0.596, 0.707, 0.645], [0.427, 0.127, 0.516], [0.758, 0.192, 0.775], [0.089, 0.200, 0.073], [0.484, 0.573, 0.873], [0.610, 0.528, 0.443], [0.286, 0.876, 0.597], [0.682, 0.020, 0.196], [0.700, 0.111, 0.627], [0.127, 0.516, 0.427], [0.775, 0.758, 0.192], [0.915, 0.333, 0.943], [0.410, 0.221, 0.624], [0.368, 0.836, 0.531], [0.214, 0.311, 0.090], [0.439, 0.793, 0.890], [0.225, 0.242, 0.808], [0.390, 0.096, 0.951], [0.786, 0.689, 0.910], [0.516, 0.427, 0.127], [0.561, 0.207, 0.110], [0.293, 0.355, 0.404], [0.196, 0.664, 0.533], [0.416, 0.482, 0.725], [0.738, 0.743, 0.353], [0.853, 0.610, 0.115], [0.742, 0.018, 0.934], [0.743, 0.353, 0.738], [0.033, 0.868, 0.837], [0.336, 0.467, 0.804], [0.590, 0.779, 0.376], [0.873, 0.484, 0.573], [0.868, 0.837, 0.033], [0.061, 0.451, 0.855], [0.333, 0.943, 0.915], [0.390, 0.472, 0.557], [0.020, 0.196, 0.682], [0.111, 0.627, 0.700], [0.163, 0.967, 0.132], [0.505, 0.762, 0.615], [0.376, 0.590, 0.779], [0.582, 0.110, 0.167], [0.980, 0.804, 0.318], [0.818, 0.515, 0.838], [0.838, 0.818, 0.515], [0.115, 0.853, 0.610], [0.664, 0.533, 0.196], [0.373, 0.300, 0.889], [0.833, 0.418, 0.890], [0.258, 0.982, 0.066], [0.485, 0.162, 0.182], [0.308, 0.566, 0.084], [0.028, 0.918, 0.585], [0.557, 0.390, 0.472], [0.482, 0.725, 0.416], [0.972, 0.082, 0.415], [0.520, 0.338, 0.324], [0.257, 0.647, 0.262], [0.443, 0.610, 0.528], [0.549, 0.145, 0.939], [0.355, 0.404, 0.293], [0.904, 0.049, 0.610], [0.192, 0.775, 0.758], [0.495, 0.238, 0.385], [0.589, 0.016, 0.389], [0.189, 0.903, 0.279], [0.676, 0.480, 0.662], [0.015, 0.696, 0.176], [0.528, 0.443, 0.610], [0.057, 0.085, 0.667], [0.238, 0.385, 0.495], [0.585, 0.028, 0.918], [0.985, 0.304, 0.824], [0.969, 0.304, 0.337], [0.667, 0.057, 0.085], [0.145, 0.939, 0.549], [0.084, 0.308, 0.566], [0.967, 0.132, 0.163], [0.584, 0.518, 0.275], [0.082, 0.415, 0.972], [0.610, 0.904, 0.049], [0.049, 0.610, 0.904], [0.984, 0.611, 0.411], [0.018, 0.934, 0.742], [0.390, 0.885, 0.147], [0.418, 0.890, 0.833], [0.415, 0.972, 0.082], [0.903, 0.279, 0.189], [0.779, 0.376, 0.590], [0.707, 0.645, 0.596], [0.132, 0.163, 0.967], [0.757, 0.995, 0.110], [0.242, 0.808, 0.225], [0.824, 0.985, 0.304], [0.943, 0.915, 0.333], [0.176, 0.015, 0.696], [0.951, 0.390, 0.096], [0.689, 0.910, 0.786], [0.793, 0.890, 0.439], [0.266, 0.894, 0.294], [0.006, 0.888, 0.323], [0.323, 0.006, 0.888], [0.683, 0.618, 0.506], [0.935, 0.612, 0.118], [0.177, 0.565, 0.183], [0.600, 0.472, 0.206], [0.706, 0.734, 0.106], [0.506, 0.683, 0.618], [0.372, 0.900, 0.606], [0.028, 0.128, 0.234], [0.183, 0.177, 0.565], [0.972, 0.872, 0.766], [0.382, 0.494, 0.317], [0.394, 0.628, 0.100], [0.677, 0.994, 0.112], [0.494, 0.317, 0.382], [0.388, 0.882, 0.065], [0.128, 0.234, 0.028], [0.528, 0.794, 0.400], [0.606, 0.372, 0.900], [0.400, 0.528, 0.794], [0.106, 0.706, 0.734], [0.612, 0.118, 0.935], [0.872, 0.766, 0.972], [0.900, 0.606, 0.372], [0.994, 0.112, 0.677], [0.206, 0.600, 0.472], [0.817, 0.823, 0.435], [0.100, 0.394, 0.628], [0.628, 0.100, 0.394], [0.894, 0.294, 0.266], [0.823, 0.435, 0.817], [0.317, 0.382, 0.494], [0.234, 0.028, 0.128], [0.065, 0.388, 0.882], [0.435, 0.817, 0.823], [0.565, 0.183, 0.177], [0.294, 0.266, 0.894], [0.888, 0.323, 0.006], [0.882, 0.065, 0.388], [0.618, 0.506, 0.683], [0.734, 0.106, 0.706], [0.118, 0.935, 0.612], [0.112, 0.677, 0.994], [0.794, 0.400, 0.528], [0.766, 0.972, 0.872], [0.472, 0.206, 0.600], [0.873, 0.123, 0.250], [0.250, 0.373, 0.623], [0.500, 0.000, 0.000], [0.877, 0.750, 0.127], [0.627, 0.377, 0.750], [0.377, 0.750, 0.627], [0.000, 0.500, 0.000], [0.123, 0.250, 0.873], [0.000, 0.000, 0.500], [0.250, 0.873, 0.123], [0.750, 0.127, 0.877], [0.127, 0.877, 0.750], [0.750, 0.627, 0.377], [0.373, 0.623, 0.250], [0.623, 0.250, 0.373], [0.500, 0.500, 0.500]],
  "delta_e_f_kcal_per_mol_atoms": -5.8
}